DFT (PBE) results for Ba2PdO2F2 after structural relaxation.

Lattice parameters (Å, degrees): 7.7086 7.7086 7.7086 148.20 148.20 45.59
Fractional coordinates of all 7 atoms:
Ba 0.6350 0.6350 0.0000
Ba 0.3650 0.3650 0.0000
Pd 0.0000 0.0000 0.0000
O 0.0000 0.5000 0.5000
O 0.5000 0.0000 0.5000
F 0.2500 0.7500 0.5000
F 0.7500 0.2500 0.5000

As for the symmetry: I4/mmm. Its formation energy is -2.8227 eV per atom. The MP2020-corrected energy is -6.0717 eV per atom. The value obtained for the calculated total energy is -40.2 eV for the cell shown.

***

DFT (PBE) results for NpSi after structural relaxation.

Lattice parameters (Å, degrees): 2.5727 5.4701 9.5391 90.00 90.00 90.00
Fractional coordinates of all 8 atoms:
Np 0.2500 0.4330 0.7293
Np 0.7500 0.5670 0.2707
Np 0.7500 0.9330 0.7707
Np 0.2500 0.0670 0.2293
Si 0.2500 0.8042 0.5094
Si 0.7500 0.1958 0.4906
Si 0.7500 0.3042 0.9906
Si 0.2500 0.6958 0.0094

As for the symmetry: Pnma. Its formation energy is 0.1130 eV per atom. The MP2020-corrected energy is -9.0735 eV per atom. The value obtained for the calculated total energy is -72.9 eV for the cell shown.

***

DFT (PBE) results for PbClF after structural relaxation.

Lattice parameters (Å, degrees): 5.0586 5.0586 6.2742 90.00 90.00 90.00
Fractional coordinates of all 6 atoms:
Pb 0.5000 0.0000 0.7519
Pb 0.0000 0.5000 0.2481
Cl 0.0000 0.0000 0.0000
Cl 0.5000 0.5000 0.0000
F 0.0000 0.5000 0.6009
F 0.5000 0.0000 0.3991

As for the symmetry: P4/nmm. Its formation energy is -1.6919 eV per atom. The MP2020-corrected energy is -4.1838 eV per atom. The value obtained for the calculated total energy is -24.2 eV for the cell shown.

***

DFT (PBE) results for Ca3Nb2N4 after structural relaxation.

Lattice parameters (Å, degrees): 8.4400 7.9621 5.3704 90.00 93.08 118.14
Fractional coordinates of all 18 atoms:
Ca 0.2685 0.0093 0.0067
Ca 0.7315 0.7408 0.4933
Ca 0.7315 0.9907 0.9933
Ca 0.2685 0.2592 0.5067
Ca 0.0000 0.6027 0.7500
Ca 0.0000 0.3973 0.2500
Nb 0.6214 0.2058 0.5650
Nb 0.3786 0.5843 0.9350
Nb 0.3786 0.7942 0.4350
Nb 0.6214 0.4157 0.0650
N 0.3360 0.0022 0.5601
N 0.6640 0.6662 0.9399
N 0.6640 0.9978 0.4399
N 0.3360 0.3338 0.0601
N 0.7715 0.3097 0.8980
N 0.2285 0.5381 0.6020
N 0.2285 0.6903 0.1020
N 0.7715 0.4619 0.3980

As for the symmetry: C2/c. As for the energy relative to the lowest polymorph listed for this composition: 0.0 meV/atom. Its formation energy is -0.9438 eV per atom. The MP2020-corrected energy is -7.5622 eV per atom. The value obtained for the calculated total energy is -133.2 eV for the cell shown.

***

DFT (PBE) results for ZrVW after structural relaxation.

Lattice parameters (Å, degrees): 5.3101 5.3101 5.3101 119.98 119.86 90.14
Fractional coordinates of all 6 atoms:
Zr 0.1249 0.8749 0.2500
Zr 0.8751 0.1251 0.7500
V 0.0000 0.5000 0.5000
V 0.5000 0.5000 0.0000
W 0.5000 0.0000 0.0000
W 0.5000 0.5000 0.5000

As for the symmetry: Imma. Its formation energy is -0.0848 eV per atom. The value obtained for the calculated total energy is -61.7 eV for the cell shown.

***

DFT (PBE) results for Os2Pb3N4 after structural relaxation.

Lattice parameters (Å, degrees): 6.5196 10.4697 10.3190 90.00 90.00 90.00
Fractional coordinates of all 36 atoms:
Os 0.7500 0.5000 0.7545
Os 0.7500 0.0000 0.7455
Os 0.2500 0.5000 0.2455
Os 0.2500 0.0000 0.2545
Os 0.7922 0.2500 0.7500
Os 0.7078 0.7500 0.7500
Os 0.2078 0.7500 0.2500
Os 0.2922 0.2500 0.2500
Pb 0.8109 0.1552 0.3874
Pb 0.6891 0.8448 0.3874
Pb 0.8109 0.3448 0.1126
Pb 0.6891 0.6552 0.1126
Pb 0.1891 0.8448 0.6126
Pb 0.3109 0.1552 0.6126
Pb 0.1891 0.6552 0.8874
Pb 0.3109 0.3448 0.8874
Pb 0.7500 0.5000 0.4095
Pb 0.7500 0.0000 0.0905
Pb 0.2500 0.5000 0.5905
Pb 0.2500 0.0000 0.9095
N 0.9098 0.3906 0.6481
N 0.5902 0.6094 0.6481
N 0.9098 0.1094 0.8519
N 0.5902 0.8906 0.8519
N 0.0902 0.6094 0.3519
N 0.4098 0.3906 0.3519
N 0.0902 0.8906 0.1481
N 0.4098 0.1094 0.1481
N 0.6819 0.3614 0.8867
N 0.8181 0.6386 0.8867
N 0.6819 0.1386 0.6133
N 0.8181 0.8614 0.6133
N 0.3181 0.6386 0.1133
N 0.1819 0.3614 0.1133
N 0.3181 0.8614 0.3867
N 0.1819 0.1386 0.3867

As for the symmetry: Pnna. Its formation energy is 0.4121 eV per atom. The MP2020-corrected energy is -7.0255 eV per atom. The value obtained for the calculated total energy is -247.1 eV for the cell shown.

***

DFT (PBE) results for Hf2Ni2Sn after structural relaxation.

Lattice parameters (Å, degrees): 7.0621 7.0621 3.3898 90.00 90.00 90.00
Fractional coordinates of all 10 atoms:
Hf 0.6671 0.1671 0.5000
Hf 0.3329 0.8329 0.5000
Hf 0.8329 0.6671 0.5000
Hf 0.1671 0.3329 0.5000
Ni 0.6254 0.8746 0.0000
Ni 0.1254 0.6254 0.0000
Ni 0.8746 0.3746 0.0000
Ni 0.3746 0.1254 0.0000
Sn 0.5000 0.5000 0.0000
Sn 0.0000 0.0000 0.0000

As for the symmetry: P4/mbm. Its formation energy is -0.5656 eV per atom. The value obtained for the calculated total energy is -76.6 eV for the cell shown.

***

DFT (PBE) results for NaH12AuC4S4O12 after structural relaxation.

Lattice parameters (Å, degrees): 5.6317 9.1232 10.1754 71.48 74.65 76.27
Fractional coordinates of all 34 atoms:
Na 0.0000 0.5000 0.5000
H 0.3458 0.1762 0.8832
H 0.6542 0.8238 0.1168
H 0.2586 0.0654 0.7909
H 0.7414 0.9346 0.2091
H 0.5551 0.0024 0.8472
H 0.4449 0.9976 0.1528
H 0.7061 0.4884 0.1431
H 0.2939 0.5116 0.8569
H 0.6634 0.3078 0.1252
H 0.3366 0.6922 0.8748
H 0.5733 0.3433 0.2978
H 0.4267 0.6567 0.7022
Au 0.0000 0.0000 0.5000
C 0.4149 0.1028 0.8096
C 0.5851 0.8972 0.1904
C 0.7045 0.3634 0.1954
C 0.2955 0.6366 0.8046
S 0.0102 0.2807 0.2234
S 0.9898 0.7193 0.7766
S 0.5550 0.2217 0.6457
S 0.4450 0.7783 0.3543
O 0.0006 0.1013 0.2905
O 0.9994 0.8987 0.7095
O 0.6422 0.1120 0.5455
O 0.3578 0.8880 0.4545
O 0.7642 0.2743 0.6649
O 0.2358 0.7257 0.3351
O 0.1801 0.2925 0.0867
O 0.8199 0.7075 0.9133
O 0.0629 0.3476 0.3222
O 0.9371 0.6524 0.6778
O 0.3586 0.3404 0.5882
O 0.6414 0.6596 0.4118

As for the symmetry: P-1. Its formation energy is -0.9708 eV per atom. The MP2020-corrected energy is -5.6221 eV per atom. The value obtained for the calculated total energy is -182.9 eV for the cell shown.

***

Copy entry 1 word for word.
DFT (PBE) results for Ba2PdO2F2 after structural relaxation.

Lattice parameters (Å, degrees): 7.7086 7.7086 7.7086 148.20 148.20 45.59
Fractional coordinates of all 7 atoms:
Ba 0.6350 0.6350 0.0000
Ba 0.3650 0.3650 0.0000
Pd 0.0000 0.0000 0.0000
O 0.0000 0.5000 0.5000
O 0.5000 0.0000 0.5000
F 0.2500 0.7500 0.5000
F 0.7500 0.2500 0.5000

As for the symmetry: I4/mmm. Its formation energy is -2.8227 eV per atom. The MP2020-corrected energy is -6.0717 eV per atom. The value obtained for the calculated total energy is -40.2 eV for the cell shown.